Computed, not measured: a relaxed MgS8O20F8 crystal at the PBE level of DFT.

Cell and atoms, written as POSCAR:
```
MgS8O20F8
1.0
-8.184 0.851 -0.186
-0.157 -3.197 7.004
0.843 9.006 4.130
Mg S O F
1 8 20 8
Cartesian
-3.824 2.532 5.108
-4.340 5.730 3.713
-2.922 3.452 8.391
-2.757 -1.521 6.986
-6.376 1.955 5.458
-1.372 2.034 4.264
-6.966 6.447 8.091
0.085 6.802 5.878
-5.366 1.512 0.903
-3.768 2.688 7.529
-2.433 4.740 8.080
-1.753 -0.548 7.204
-5.203 0.996 5.470
-2.674 1.609 3.618
-6.802 5.096 8.482
-0.257 6.256 4.616
-6.190 2.453 1.563
-3.918 2.285 0.760
0.585 5.495 6.755
0.182 1.186 4.779
-3.492 6.836 2.846
-5.841 -2.374 6.708
-3.684 4.461 3.643
0.546 6.596 9.024
-1.817 2.830 5.463
-5.731 3.298 5.240
-2.476 0.283 0.227
-7.230 8.753 5.907
-4.646 6.396 4.920
-4.927 0.426 1.961
-1.257 7.093 6.652
-5.545 7.010 7.708
-0.820 3.205 3.254
-6.811 2.030 7.040
-3.281 -1.354 5.507
-1.741 2.537 8.826
-5.614 5.652 2.823
```

energy of formation from the pure elements = -1.80 eV/atom

Computed, not measured: a relaxed SrSm2O4 crystal at the PBE level of DFT.

Cell and atoms, written as POSCAR:
```
SrSm2O4
1.0
0.000 5.038 5.038
5.038 0.000 5.038
5.038 5.038 0.000
Sr Sm O
2 4 8
Cartesian
7.558 7.558 7.558
5.038 5.038 5.038
3.779 3.779 1.260
1.260 3.779 3.779
3.779 1.260 3.779
1.260 1.260 1.260
8.972 8.972 8.972
6.143 8.972 6.143
8.972 6.143 6.143
6.453 6.453 3.624
6.143 6.143 8.972
3.624 6.453 6.453
6.453 3.624 6.453
3.624 3.624 3.624
```

energy of formation from the pure elements = -3.62 eV/atom

Computed, not measured: a relaxed CaTl2O4 crystal at the PBE level of DFT.

Cell and atoms, written as POSCAR:
```
CaTl2O4
1.0
1.691 -5.609 0.000
1.691 5.609 0.000
0.000 0.000 10.653
Ca Tl O
2 4 8
Cartesian
1.691 4.395 2.663
1.691 -4.395 7.989
1.691 -1.510 6.094
1.691 1.510 4.559
1.691 1.510 0.768
1.691 -1.510 9.885
1.691 0.413 2.663
1.691 -0.413 7.989
0.000 0.000 5.326
0.000 0.000 0.000
1.691 -2.464 1.251
1.691 2.464 9.401
1.691 -2.464 4.075
1.691 2.464 6.577
```

energy of formation from the pure elements = -1.73 eV/atom

Computed, not measured: a relaxed CaInAu crystal at the PBE level of DFT.

Cell and atoms, written as POSCAR:
```
CaInAu
1.0
-1.713 -1.312 -4.146
6.939 -1.229 -2.478
-0.450 -8.045 2.731
Ca In Au
4 4 4
Cartesian
5.196 -7.703 -3.662
-0.420 -2.883 -0.232
1.668 -8.123 -2.072
3.107 -2.463 -1.822
0.871 -4.896 -2.763
0.269 -8.045 1.116
3.904 -5.690 -1.131
4.506 -2.542 -5.010
4.537 -8.381 -0.541
1.187 -5.629 -0.028
3.588 -4.958 -3.867
0.238 -2.205 -3.353
```

energy of formation from the pure elements = -0.67 eV/atom

Computed, not measured: a relaxed Na2LaAlSiS2O12 crystal at the PBE level of DFT.

Cell and atoms, written as POSCAR:
```
Na2LaAlSiS2O12
1.0
-5.408 -5.525 4.678
9.007 -0.776 0.654
0.108 14.563 18.235
Na La Al Si S O
12 6 6 6 12 72
Cartesian
0.295 -2.263 9.748
-1.869 8.666 15.294
5.151 4.312 14.572
2.886 1.036 2.224
0.838 7.551 22.085
-1.496 4.236 9.120
8.826 6.480 9.851
8.725 -0.815 0.822
-0.836 8.095 18.419
-0.617 0.915 9.560
4.093 0.257 5.239
4.279 7.270 14.013
-5.190 6.740 19.989
8.874 1.670 3.691
-0.539 10.503 21.165
4.436 -2.036 2.500
4.475 5.194 11.215
4.320 9.189 16.842
3.726 -1.028 11.531
8.964 8.546 12.542
-0.617 5.934 15.664
-0.817 -1.285 6.958
-0.365 3.093 12.384
4.123 2.613 7.626
2.682 3.447 4.814
-3.605 6.669 16.722
-1.346 6.306 12.429
0.475 -4.406 6.488
7.153 10.614 18.697
6.040 5.419 8.016
7.207 1.199 6.888
2.576 -0.458 8.343
1.068 8.733 15.072
0.990 4.786 18.491
-2.081 3.033 15.221
1.998 4.280 14.296
-3.248 -2.277 4.915
1.024 -0.909 3.716
2.624 9.278 20.186
3.172 12.869 17.163
5.316 1.753 11.152
1.546 3.959 9.221
-1.008 3.119 6.718
2.790 -0.742 9.809
-3.941 -1.177 10.136
0.617 9.936 15.818
1.629 5.718 19.450
-3.933 7.216 18.225
-4.414 5.263 16.377
0.652 8.847 13.657
7.433 9.390 13.239
3.100 -1.596 7.550
2.020 2.370 3.796
7.282 1.098 5.393
-1.487 4.258 15.778
-1.194 6.398 14.047
1.099 5.142 15.066
0.025 -2.844 6.875
-2.245 -1.686 5.834
0.324 -0.722 4.995
0.647 -2.163 3.024
0.155 -4.859 4.933
-2.604 -3.101 3.867
-0.852 4.781 11.900
1.228 3.456 13.314
-1.561 2.790 13.835
2.946 10.638 20.635
3.490 13.112 18.590
6.138 11.558 19.601
4.803 2.914 11.942
2.270 4.854 10.150
6.039 5.405 9.673
5.094 4.141 7.532
5.033 1.932 9.713
2.536 3.095 8.514
3.357 11.445 16.795
6.334 9.804 17.507
3.141 9.013 18.827
2.223 -0.430 12.356
4.624 0.571 11.738
0.766 4.796 8.250
-3.623 7.775 21.601
8.116 11.729 17.987
3.203 8.314 21.151
-3.553 3.099 15.113
-0.575 7.588 11.660
2.733 3.321 15.189
2.052 -4.709 6.784
-4.142 -3.187 5.651
0.676 0.158 2.723
-1.949 6.683 16.640
0.388 7.616 15.777
0.300 5.576 17.471
1.089 -0.361 8.173
-1.553 -1.224 8.625
-1.288 0.721 6.867
1.158 9.043 20.137
-1.297 8.120 20.975
-1.072 10.304 18.953
-2.221 2.398 10.692
0.592 3.094 9.962
0.050 1.339 12.104
2.502 -0.911 3.899
4.918 0.177 2.786
5.024 -1.955 4.925
6.013 5.672 12.850
3.007 5.101 13.572
3.711 7.472 11.473
5.745 1.385 7.163
3.278 0.747 7.885
3.578 2.589 5.922
2.528 8.562 15.139
5.437 9.425 14.532
4.933 7.032 16.258
```

energy of formation from the pure elements = -2.63 eV/atom

Computed, not measured: a relaxed SeBr crystal at the PBE level of DFT.

Cell and atoms, written as POSCAR:
```
SeBr
1.0
-4.913 -2.667 -14.179
-0.724 -5.127 1.215
-7.283 0.815 2.370
Se Br
8 8
Cartesian
-7.828 -6.868 -10.121
-6.557 -3.272 -3.047
-5.092 -0.110 -0.472
-6.363 -3.706 -7.546
-6.330 -3.322 -12.723
-8.180 -2.153 -4.111
-6.590 -3.656 2.130
-4.740 -4.826 -6.482
-9.190 -2.571 -10.423
-4.450 -2.432 -3.900
-3.730 -4.407 -0.170
-8.470 -4.547 -6.693
-4.974 -4.849 -11.396
-9.354 -5.261 -1.609
-7.946 -2.129 0.803
-3.566 -1.718 -8.984
```

energy of formation from the pure elements = -0.36 eV/atom

Computed, not measured: a relaxed TbRu2 crystal at the PBE level of DFT.

Cell and atoms, written as POSCAR:
```
TbRu2
1.0
-3.304 -0.975 3.997
-1.016 -1.946 -4.798
4.651 -7.436 2.031
Tb Ru
4 8
Cartesian
0.238 -4.848 -0.986
0.092 -5.509 2.215
1.801 -8.242 2.961
-1.471 -2.115 -1.732
2.326 -3.718 1.015
0.000 0.000 0.000
-1.750 -3.000 2.999
-2.244 -3.947 0.665
-0.142 -2.526 1.055
2.080 -7.357 -1.770
2.575 -6.410 0.565
0.473 -7.831 0.175
```

energy of formation from the pure elements = -0.31 eV/atom

Computed, not measured: a relaxed Sr3Pb crystal at the PBE level of DFT.

Cell and atoms, written as POSCAR:
```
Sr3Pb
1.0
-3.731 -3.329 2.068
2.849 -4.265 -1.724
2.690 -0.100 4.694
Sr Pb
3 1
Cartesian
-0.520 -1.714 3.381
2.770 -2.182 1.485
-0.441 -3.797 0.172
0.000 0.000 0.000
```

energy of formation from the pure elements = -0.30 eV/atom

Computed, not measured: a relaxed TcC4NO4 crystal at the PBE level of DFT.

Cell and atoms, written as POSCAR:
```
TcC4NO4
1.0
5.521 0.000 0.000
0.000 10.070 0.000
0.000 0.000 11.903
Tc C N O
4 16 4 16
Cartesian
3.267 2.712 9.006
3.267 7.358 2.897
2.254 2.323 3.054
2.254 7.747 8.849
4.764 5.417 0.992
4.764 4.653 10.911
0.757 9.688 6.943
0.757 0.382 4.960
0.643 5.026 11.270
0.643 5.045 0.633
4.878 0.009 5.318
4.878 10.061 6.585
0.521 4.309 6.418
0.521 5.762 5.485
4.999 0.726 0.466
4.999 9.344 11.437
0.984 4.445 4.987
0.984 5.626 6.916
4.536 0.590 10.938
4.536 9.480 0.965
3.905 5.035 0.000
1.615 0.000 5.951
4.817 5.035 5.951
0.703 0.000 0.000
1.640 2.881 9.491
1.640 7.189 2.412
3.880 2.154 3.539
3.880 7.917 8.363
4.442 4.060 9.836
4.442 6.010 2.067
1.079 0.975 3.885
1.079 9.095 8.018
3.653 2.572 7.354
3.653 7.498 4.549
1.868 2.463 1.403
1.868 7.607 10.500
4.368 1.186 9.861
4.368 8.884 2.042
1.152 3.849 3.910
1.152 6.221 7.993
```

energy of formation from the pure elements = -0.08 eV/atom

Computed, not measured: a relaxed CeU2S5 crystal at the PBE level of DFT.

Cell and atoms, written as POSCAR:
```
CeU2S5
1.0
7.352 0.000 0.000
0.000 7.974 0.000
0.000 0.000 11.655
Ce U S
4 8 20
Cartesian
3.451 0.014 9.599
3.902 4.001 2.056
7.127 4.001 7.884
0.225 0.014 3.771
4.225 1.986 5.730
6.803 1.986 11.557
3.127 5.973 5.925
0.549 5.973 0.097
0.195 3.975 3.744
7.157 7.962 7.910
3.871 7.962 2.083
3.481 3.975 9.572
7.062 1.989 5.821
3.966 1.989 11.649
0.290 5.976 5.834
3.386 5.976 0.006
2.403 0.365 6.914
1.214 3.631 1.127
4.950 4.351 4.741
6.138 7.618 10.528
4.891 7.618 4.700
6.079 4.351 10.568
2.462 3.631 6.955
1.273 0.365 1.087
5.111 1.991 8.361
5.917 1.991 2.534
2.241 5.978 3.294
1.435 5.978 9.121
2.461 1.997 3.616
1.215 1.997 9.443
4.891 5.984 8.039
6.137 5.984 2.212
```

energy of formation from the pure elements = -1.94 eV/atom

Computed, not measured: a relaxed EuP2Os2 crystal at the PBE level of DFT.

Cell and atoms, written as POSCAR:
```
EuP2Os2
1.0
6.022 0.320 1.064
2.641 -1.836 5.211
-3.996 -1.887 -4.239
Eu P Os
1 2 2
Cartesian
0.000 0.000 0.000
5.570 -0.974 4.035
3.093 -0.541 2.241
1.488 -2.240 2.055
3.179 -1.162 -0.019
```

energy of formation from the pure elements = -0.68 eV/atom

Computed, not measured: a relaxed CsYHgSe3 crystal at the PBE level of DFT.

Cell and atoms, written as POSCAR:
```
CsYHgSe3
1.0
-3.460 -2.155 1.395
3.065 -4.722 -6.347
6.415 -5.597 7.262
Cs Y Hg Se
2 2 2 6
Cartesian
2.286 -4.361 -1.070
3.735 -8.113 3.379
0.000 0.000 0.000
3.208 -2.798 3.631
-0.006 -3.000 2.003
6.026 -9.474 0.306
1.047 -7.574 -2.453
4.973 -4.900 4.762
4.489 -7.459 -0.392
7.175 -9.802 2.648
-1.154 -2.673 -0.339
1.532 -5.016 2.701
```

energy of formation from the pure elements = -1.47 eV/atom

Computed, not measured: a relaxed MoCl3 crystal at the PBE level of DFT.

Cell and atoms, written as POSCAR:
```
MoCl3
1.0
-4.399 -0.044 -4.633
4.325 -4.690 0.343
-15.475 -13.190 14.821
Mo Cl
8 24
Cartesian
-9.238 -8.195 4.445
-16.957 -14.775 11.838
-5.360 -4.890 0.731
-11.606 -9.893 11.116
-3.869 -3.298 3.705
-10.189 -13.034 9.800
-6.312 -9.729 6.086
1.408 -3.149 -1.307
-11.168 -15.215 9.179
-7.079 -12.035 5.606
-7.647 -4.171 1.326
-3.664 -0.757 -2.149
-10.697 -12.439 7.457
-14.669 -15.494 11.263
-3.182 -5.725 -0.081
-6.937 -8.896 3.850
-13.066 -14.157 14.126
-9.423 -10.740 10.299
-9.725 -7.602 2.089
-5.970 -4.066 -1.516
-9.579 -13.858 12.047
-5.824 -10.322 8.442
-6.126 -7.184 0.231
-2.483 -3.767 -3.596
-8.613 -9.028 6.681
-12.368 -12.199 10.611
-0.881 -2.430 -0.733
-4.853 -5.485 3.074
-11.886 -17.167 12.679
-7.903 -13.753 9.205
-8.471 -5.888 4.924
-4.382 -2.709 1.351
```

energy of formation from the pure elements = -1.28 eV/atom